Compound: Na7Ta3ZnSi6O24
Source: the Materials Project database
Functional: PBE
Structure: relaxed

Calculated values
MP2020-corrected energy, eV per atom: -7.73
M_tot, μB per formula unit: 0.000
Total energy, eV/cell: -901.73
Formation enthalpy at 0 K, kJ/mol of atoms: -282

a b c (Å): 9.117 9.117 22.393
angles (deg): 90.00 90.00 120.00
Element x y z (fractional)
Si 0.293 0.002 0.253
Si 0.376 0.334 0.084
Si 0.039 0.374 0.916
Si 0.041 0.664 0.417
Si 0.375 0.041 0.585
Si 0.998 0.292 0.253
Si 0.666 0.042 0.084
Si 0.708 0.707 0.253
Si 0.959 0.334 0.585
Si 0.289 0.291 0.752
Si 0.666 0.625 0.585
Si 0.958 0.624 0.084
Si 0.002 0.711 0.752
Si 0.335 0.961 0.916
Si 0.623 0.959 0.417
Si 0.626 0.665 0.916
Si 0.336 0.377 0.417
Si 0.709 0.998 0.752
Na 0.720 0.687 0.407
Na 0.980 0.366 0.746
Na 0.966 0.280 0.407
Na 0.026 0.691 0.586
Na 0.667 0.333 0.831
Na 0.000 0.000 0.491
Na 0.382 0.358 0.245
Na 0.642 0.023 0.245
Na 0.665 0.974 0.586
Na 0.667 0.333 0.320
Na 0.000 0.000 0.998
Na 0.665 0.688 0.086
Na 0.313 0.034 0.407
Na 0.386 0.020 0.746
Na 0.024 0.335 0.086
Na 0.333 0.667 0.166
Na 0.309 0.335 0.586
Na 0.977 0.618 0.245
Na 0.312 0.976 0.086
Na 0.333 0.667 0.669
Na 0.634 0.614 0.746
O 0.359 0.862 0.858
O 0.161 0.471 0.974
O 0.310 0.839 0.974
O 0.856 0.487 0.424
O 0.165 0.967 0.193
O 0.836 0.527 0.750
O 0.617 0.508 0.644
O 0.160 0.681 0.475
O 0.134 0.630 0.359
O 0.967 0.181 0.313
O 0.034 0.835 0.691
O 0.024 0.189 0.910
O 0.165 0.976 0.910
O 0.811 0.835 0.910
O 0.801 0.966 0.691
O 0.171 0.193 0.419
O 0.976 0.162 0.589
O 0.153 0.655 0.073
O 0.529 0.690 0.974
O 0.679 0.519 0.246
O 0.033 0.197 0.193
O 0.836 0.020 0.806
O 0.184 0.164 0.806
O 0.473 0.309 0.750
O 0.488 0.384 0.144
O 0.616 0.104 0.144
O 0.803 0.835 0.193
O 0.513 0.369 0.424
O 0.699 0.531 0.527
O 0.807 0.977 0.419
O 0.023 0.829 0.419
O 0.496 0.866 0.359
O 0.640 0.495 0.923
O 0.840 0.321 0.246
O 0.521 0.840 0.475
O 0.297 0.477 0.755
O 0.503 0.655 0.575
O 0.855 0.360 0.923
O 0.481 0.160 0.246
O 0.345 0.498 0.073
O 0.502 0.847 0.073
O 0.152 0.497 0.575
O 0.471 0.300 0.027
O 0.521 0.702 0.256
O 0.138 0.497 0.858
O 0.523 0.821 0.755
O 0.980 0.816 0.806
O 0.505 0.145 0.923
O 0.370 0.504 0.359
O 0.891 0.383 0.644
O 0.832 0.301 0.527
O 0.839 0.023 0.088
O 0.691 0.164 0.750
O 0.492 0.109 0.644
O 0.838 0.814 0.589
O 0.214 0.033 0.313
O 0.298 0.819 0.256
O 0.179 0.703 0.755
O 0.186 0.024 0.589
O 0.503 0.641 0.858
O 0.469 0.168 0.527
O 0.165 0.199 0.691
O 0.819 0.786 0.313
O 0.319 0.479 0.475
O 0.828 0.529 0.027
O 0.631 0.144 0.424
O 0.896 0.512 0.144
O 0.345 0.848 0.575
O 0.181 0.479 0.256
O 0.184 0.161 0.088
O 0.700 0.172 0.027
O 0.977 0.816 0.088
Zn 0.000 0.000 0.348
Zn 0.667 0.333 0.684
Zn 0.667 0.333 0.182
Ta 0.000 0.000 0.857
Ta 0.667 0.333 0.479
Ta 0.333 0.667 0.519
Ta 0.000 0.000 0.647
Ta 0.333 0.667 0.017
Ta 0.000 0.000 0.148
Ta 0.333 0.667 0.311
Ta 0.667 0.333 0.978
Ta 0.333 0.667 0.814